Below is an optimized crystal structure of Zn5P6H18O30, with properties calculated at the PBE-GGA level.

extended XYZ file:
```
59
Lattice="-6.1345 -5.7228 -1.5963 4.8884 -5.3506 6.7833 -3.7147 8.4645 3.8393" Properties=species:S:1:pos:R:3 pbc="T T T"
O -2.9713 5.2500 5.9962
O -6.3408 3.7593 2.6451
O -6.1013 0.4418 2.5212
O -1.4688 -4.7588 6.7553
O -1.7697 0.1500 3.1399
O 1.3800 -6.3683 6.3812
O -8.3511 0.0592 1.3894
O -0.5276 0.9073 8.8695
O 1.4595 -0.9755 7.7775
O -6.4202 -1.6335 1.2487
O -4.5303 -5.9858 -0.0931
O -4.4108 -6.3724 2.7491
O 3.3903 -2.6682 7.6368
O -1.1682 -1.2007 0.5476
O -0.5500 3.7634 6.2771
O -4.1475 -0.2371 5.0492
O -1.6787 -4.0424 2.3373
O -4.4332 -3.5163 0.1567
O -3.2821 1.4335 6.6889
O -3.7926 -1.4082 8.4787
O 0.0968 -4.7680 4.0109
O -0.8133 -2.3718 3.9770
O -1.4207 -0.5232 6.1820
O -5.0576 2.1590 5.0153
O -1.9895 -7.8590 3.0300
O -3.4919 2.1499 2.2710
O -3.1911 -2.7589 5.8864
O 1.1406 -3.0507 6.5050
O -0.4304 3.3768 9.1193
O -3.5400 -2.0858 2.8443
H -1.5923 -0.3266 2.2962
H -0.8348 -0.0156 9.1188
H -3.3685 -2.2824 6.7301
H -3.3608 2.3441 7.1510
H -1.7611 0.3272 6.5414
H -3.6304 -6.9752 2.8414
H -4.5411 -6.2598 1.7770
H -1.3304 4.3662 6.1848
H -3.1996 -2.9362 2.4849
H 1.8434 -0.4199 8.5196
H -6.8041 -2.1890 0.5066
H -0.4196 3.6508 7.2493
H -1.6000 -4.9531 1.8753
H -4.1259 -2.5934 -0.0926
H -0.4612 -0.5836 6.3513
H -4.4995 -2.0254 2.6749
H -2.5661 -3.4925 6.1383
H -2.3947 0.8835 2.8880
Zn -2.4804 -1.3045 4.5131
Zn -5.2933 2.1250 3.0547
Zn -1.9265 -9.2308 4.4446
Zn -3.0342 6.6219 4.5816
Zn 0.3325 -4.7339 5.9715
P -7.8574 3.7661 2.9883
P -0.3922 -3.5781 3.1396
P -6.8078 -0.1020 1.2822
P 1.8471 -2.5070 7.7441
P -4.5686 0.9691 5.8867
P 2.8966 -6.3751 6.0379
```

- Raw total energy: -5.697 eV/atom
- SG: P-1, No. 2
- E_form: -1.84 eV/atom

---

Below is an optimized crystal structure of SbPbIO2, with properties calculated at the PBE-GGA level.

extended XYZ file:
```
5
Lattice="-1.9930 1.9930 6.8859 1.9930 -1.9930 6.8859 1.9930 1.9930 -6.8859" Properties=species:S:1:pos:R:3 pbc="T T T"
I 0.0000 0.0000 13.6979
Pb 0.0000 0.0000 8.9073
Sb 0.0000 0.0000 4.4449
O 1.9930 0.0000 3.5023
O 0.0000 1.9930 3.5023
```

- Raw total energy: -4.917 eV/atom
- SG: I4mm, No. 107
- E_form: -1.34 eV/atom

---

Below is an optimized crystal structure of La2MgCu2O6, with properties calculated at the PBE-GGA level.

extended XYZ file:
```
11
Lattice="-5.9869 -1.1695 -0.9402 -2.1511 -3.2545 -4.7828 -2.5246 -5.6078 0.5227" Properties=species:S:1:pos:R:3 pbc="T T T"
O -7.3688 -5.5742 -1.8607
O -4.4829 -5.0889 -0.7786
O -3.5371 -4.7073 -3.4540
O -5.2930 -7.2308 -2.9212
O -6.4438 -5.1704 -4.5363
O -5.6167 -3.0338 -2.4183
Cu -9.8077 -9.2275 -4.7834
Cu -5.4804 -5.1562 -2.6729
La -7.7120 -7.2558 -3.7613
La -3.2628 -3.0698 -1.5914
Mg -0.9081 -0.8544 -0.4429
```

- Raw total energy: -6.477 eV/atom
- SG: R3, No. 146
- E_form: -2.36 eV/atom

---

Below is an optimized crystal structure of LiBH4, with properties calculated at the PBE-GGA level.

extended XYZ file:
```
12
Lattice="-2.1666 3.1310 -1.7249 -2.0097 -3.1338 1.9008 0.2421 3.3634 5.8010" Properties=species:S:1:pos:R:3 pbc="T T T"
H -2.9187 1.5305 4.0334
H -2.1105 2.4347 -0.4051
H -1.8874 0.0403 4.8544
H -3.0671 0.9431 0.4996
H -1.9709 0.2202 2.8752
H -1.9022 3.9901 4.5672
H -1.0793 0.9444 0.4159
H -0.9309 1.5318 3.9497
B -1.9270 0.8306 3.9280
B -2.1003 1.2371 -0.1811
Li -1.9918 2.7442 2.4183
Li -2.0606 -1.0257 0.7264
```

- Maximum piezoelectric response: 0.102 C/m²
- Raw total energy: -3.977 eV/atom
- SG: P6_3mc, No. 186
- E_form: -0.40 eV/atom
- Energy above the lowest structure with this stoichiometry: 47 meV per atom

---

Below is an optimized crystal structure of Ca4GdB3O10, with properties calculated at the PBE-GGA level.

extended XYZ file:
```
18
Lattice="8.0887 4.0754 0.0000 -8.0887 4.0754 0.0000 0.0000 0.6998 3.5141" Properties=species:S:1:pos:R:3 pbc="T T T"
O -1.2047 3.9335 0.8856
O -3.7259 4.3177 2.5597
O 2.7892 6.5358 0.4108
O 0.0000 1.9140 1.3811
O -5.7736 5.4228 3.2271
O 1.2047 3.9335 0.8856
O 3.7259 4.3177 2.5597
O 5.7736 5.4228 3.2271
O 0.0000 7.1545 2.0320
O -2.7892 6.5358 0.4108
B -4.9356 4.3030 3.2318
B 0.0000 3.2679 1.0501
B 4.9356 4.3030 3.2318
Gd 0.0000 0.7075 3.5067
Ca -1.8256 5.6999 2.3636
Ca 1.8256 5.6999 2.3636
Ca 2.9422 2.3884 1.2035
Ca -2.9422 2.3884 1.2035
```

- Raw total energy: -8.086 eV/atom
- SG: Cm, No. 8
- E_form: -3.38 eV/atom

---

Below is an optimized crystal structure of Na5HfIn3Si3S3O24, with properties calculated at the PBE-GGA level.

extended XYZ file:
```
117
Lattice="-8.2772 -0.1330 -3.8466 6.3632 -6.0459 -2.5933 -7.2379 -14.4423 16.2746" Properties=species:S:1:pos:R:3 pbc="T T T"
O -11.0735 -9.5822 5.2871
O -6.5393 -12.6197 11.7954
O -7.0527 -18.3646 11.9646
O -5.3544 -14.3999 14.3323
O -7.3259 -12.8715 9.4085
O -8.9192 -16.4867 11.2069
O -7.2085 -1.5255 -1.9350
O -3.6390 -17.7108 10.3044
O -9.6307 -11.4001 6.0475
O -9.0661 -14.0722 7.4550
O -6.0233 -10.9005 4.6121
O -2.4371 -15.1201 9.9816
O -6.8247 -8.6349 6.4677
O -1.6732 -19.1357 11.6003
O -1.1793 -2.3082 0.0712
O -4.1297 -12.4456 5.8297
O -7.4714 -7.1625 3.9913
O 2.2591 -10.9493 4.5061
O -4.6780 -4.5218 1.7361
O -3.8997 -4.5491 4.0136
O -0.2950 -10.9938 5.3372
O -3.4707 -12.1187 0.9515
O -1.6013 -13.6666 5.7730
O -8.9391 -16.4203 7.3532
O -2.7256 -8.2129 3.2634
O -0.2337 -15.0066 9.1414
O -0.4821 -4.1560 -1.3596
O -1.3047 -10.5200 1.4531
O -4.2039 -15.4543 12.4012
O -0.3186 -3.9681 2.5785
O -6.6644 -5.5455 0.0446
O -6.6775 -12.6510 6.5804
O -6.4137 -16.3581 10.3276
O -6.8427 -9.2918 2.3951
O -5.0199 -5.5742 -2.4750
O -7.7688 -9.9479 8.2851
O -9.8653 -11.8095 9.0994
O 0.5436 -8.8624 3.8627
O 2.2412 -5.1060 -0.9839
O -2.1824 -11.2935 7.6386
O 3.1927 -8.7719 -0.0474
O -5.3222 -16.7644 14.1392
O -4.3755 -16.0192 8.2075
O -5.3058 -15.8446 5.8394
O -1.8529 -7.9297 0.3158
O -8.0627 -18.3623 9.5447
O -2.8085 -7.8595 -1.8588
O -4.9560 -13.8880 9.8721
O -3.8863 -3.7178 -4.1433
O -2.6524 -11.9902 3.3474
O -12.3579 -11.9617 10.0297
O -9.1080 -5.7618 0.8172
O 0.9314 -8.8351 0.6572
O -3.2522 -7.1632 5.4412
O -5.9119 -13.5401 4.1298
O -4.8685 -1.4324 -2.4158
O -8.8553 -9.7048 4.4821
O -3.0936 -9.5108 5.3118
O -3.9540 -9.1427 -0.1139
O -2.0811 -2.4747 -2.1194
O -5.7289 -8.6029 8.6149
O -4.0078 -6.7863 0.0224
O -4.9013 -8.3400 4.1378
O -5.6416 -2.7724 -0.5046
O -11.5322 -15.6663 10.7432
O -5.1713 -11.2306 9.9294
O -0.0904 -6.6337 2.1845
O 0.6323 -6.4767 -2.9340
O -3.9981 -19.1165 12.5406
O -10.0570 -14.2951 12.6934
O -3.4947 -6.3258 -4.5524
O -2.7083 -4.1442 -0.4570
Na -6.5390 -14.6427 8.0231
Na -7.1856 -3.8574 1.6879
Na -10.3960 -17.6616 9.4744
Na -8.4360 -11.1265 10.8922
Na -1.0810 -20.3561 13.6490
Na -3.5543 -13.4629 7.9372
Na -5.9113 -6.8062 2.0250
Na 0.3750 -6.1383 -0.1803
Na -9.2787 -13.9799 10.2401
Na -3.7044 -14.3065 4.5096
Na 2.1442 -7.3041 2.4065
Na -4.5463 -10.4356 2.4096
Na -8.9809 -7.8127 2.1388
Na -12.2012 -13.2795 12.1299
Na 2.5394 -13.1136 5.6389
S -4.5758 -15.5551 13.8358
S -1.5941 -3.2927 -0.9538
S -5.8662 -1.5279 -1.3139
S -7.0364 -8.7031 7.9475
S -1.0126 -15.0888 10.4014
S -3.1416 -7.9154 -0.4233
S -10.0298 -10.5656 4.9035
S -3.4631 -8.3093 4.5437
S -4.2582 -3.6587 2.8805
Si -5.7074 -12.3746 5.3067
Si -5.9397 -12.6249 10.2895
Si 0.9434 -10.0631 4.9087
Si -4.6116 -5.2172 -4.0334
Si -3.2266 -19.1052 11.1184
Si -2.0764 -11.9328 1.8233
Si 0.0313 -5.3898 3.2752
Si -11.1977 -10.9476 9.5070
Si -7.5989 -17.4071 10.7938
In -2.2520 -11.5685 5.3275
In -6.5770 -15.5781 4.2138
In -8.2648 -12.0074 7.7277
In -1.0464 -2.0882 2.3223
In -6.1114 -12.3321 13.7731
In -4.8003 -4.7361 -0.6410
In 1.4581 -4.4036 -2.7791
In -4.4351 -11.2296 -0.7282
In -0.7568 -8.6650 2.2588
Hf -6.8688 -9.1147 4.3748
Hf -4.5216 -15.8657 10.1987
Hf -10.4002 -16.3405 12.5100
```

- Raw total energy: -6.429 eV/atom
- SG: P1, No. 1
- E_form: -2.44 eV/atom

---

- Among the records above, which one has the lowest raw total energy?
  Ca4GdB3O10

---

- What is the formula in the fifth record?
  Ca4GdB3O10

---

- What is the raw total energy in the fourth record?
  -3.977 eV/atom

---

- Number 4 is which compound?
  LiBH4